Entry 1
Material: Li4TiCr5O12
Method: DFT, GGA+U
State: optimized geometry

Calculated values
As for the space-group type: P-1. Its calculated volume is 705.24 Å³ per cell.

Cell: 8.9013 8.9115 10.2604 Å, 89.59 89.82 60.06°
Fractional coordinates of all 66 atoms:
Li 0.0574 0.0606 0.2700
Li 0.2135 0.3840 0.2263
Li 0.2343 0.7063 0.2225
Li 0.2629 0.2956 0.7255
Li 0.2846 0.6192 0.7294
Li 0.4422 0.9366 0.7728
Li 0.5578 0.0634 0.2272
Li 0.7154 0.3808 0.2706
Li 0.7371 0.7044 0.2745
Li 0.7657 0.2937 0.7775
Li 0.7865 0.6160 0.7737
Li 0.9426 0.9394 0.7300
Ti 0.1618 0.1654 0.5020
Ti 0.5000 0.5000 0.5000
Ti 0.8382 0.8346 0.4980
Cr 0.0000 0.5000 0.0000
Cr 0.0014 0.1671 0.9967
Cr 0.1646 0.5020 0.4971
Cr 0.1677 0.8342 0.4999
Cr 0.3338 0.1648 0.0002
Cr 0.3352 0.4973 0.9984
Cr 0.3349 0.8334 0.0011
Cr 0.4992 0.8328 0.4977
Cr 0.5008 0.1672 0.5023
Cr 0.6651 0.1666 0.9989
Cr 0.6648 0.5027 0.0016
Cr 0.6662 0.8352 0.9998
Cr 0.8323 0.1658 0.5001
Cr 0.8354 0.4980 0.5029
Cr 0.9986 0.8329 0.0033
O 0.0533 0.0560 0.6031
O 0.0545 0.7263 0.6052
O 0.0618 0.3833 0.6013
O 0.1137 0.9403 0.1032
O 0.1195 0.2743 0.0976
O 0.1199 0.6044 0.1038
O 0.2215 0.7216 0.9012
O 0.2268 0.3840 0.8997
O 0.2322 0.0557 0.9007
O 0.2700 0.9528 0.3986
O 0.2773 0.2770 0.4000
O 0.2813 0.6113 0.3976
O 0.3840 0.0587 0.6039
O 0.3836 0.3949 0.6045
O 0.3911 0.7160 0.6008
O 0.4387 0.2724 0.1032
O 0.4420 0.6097 0.0971
O 0.4521 0.9460 0.1003
O 0.5479 0.0540 0.8997
O 0.5580 0.3903 0.9029
O 0.5613 0.7276 0.8968
O 0.6089 0.2840 0.3992
O 0.6164 0.6051 0.3955
O 0.6160 0.9413 0.3961
O 0.7187 0.3887 0.6024
O 0.7227 0.7230 0.6000
O 0.7300 0.0472 0.6014
O 0.7678 0.9443 0.0993
O 0.7732 0.6160 0.1003
O 0.7785 0.2784 0.0988
O 0.8801 0.3956 0.8962
O 0.8805 0.7257 0.9024
O 0.8863 0.0597 0.8968
O 0.9382 0.6167 0.3987
O 0.9455 0.2737 0.3948
O 0.9467 0.9440 0.3969

Entry 2
Material: Li4TiCr5O12
Method: DFT, GGA+U
State: optimized geometry

Calculated values
As for the space-group type: C2/m. Its calculated volume is 231.52 Å³ per cell.

Cell: 5.1387 5.1387 10.1261 Å, 90.02 90.02 120.02°
Fractional coordinates of all 22 atoms:
Li 0.1516 0.6530 0.7511
Li 0.3471 0.8484 0.2489
Li 0.6530 0.1516 0.7511
Li 0.8484 0.3471 0.2489
Ti 0.5000 0.5000 0.5000
Cr 0.0000 0.0000 0.0000
Cr 0.1640 0.8360 0.5000
Cr 0.3349 0.6651 0.0000
Cr 0.6651 0.3349 0.0000
Cr 0.8360 0.1640 0.5000
O 0.0078 0.6644 0.1061
O 0.1683 0.5055 0.3932
O 0.1760 0.1760 0.5997
O 0.3310 0.3310 0.0940
O 0.3356 0.9922 0.8939
O 0.4945 0.8317 0.6068
O 0.5055 0.1683 0.3932
O 0.6644 0.0078 0.1061
O 0.6690 0.6690 0.9060
O 0.8240 0.8240 0.4003
O 0.8317 0.4945 0.6068
O 0.9922 0.3356 0.8939

The winner here is entry 1, beating the second structure by 0.025 eV/atom.

Entry 1
Material: CrPO10
Method: DFT, GGA+U
State: optimized geometry

Calculated values
As for the space-group type: C2/c. Its calculated volume is 866.78 Å³ per cell.

Cell: 6.0447 6.0447 24.1264 Å, 93.23 93.23 80.39°
Fractional coordinates of all 48 atoms:
Cr 0.0000 0.0000 0.0000
Cr 0.0000 0.0000 0.5000
Cr 0.1908 0.8092 0.7500
Cr 0.8092 0.1908 0.2500
P 0.3012 0.4173 0.1158
P 0.4173 0.3012 0.6158
P 0.5827 0.6988 0.3842
P 0.6988 0.5827 0.8842
O 0.0202 0.1640 0.2977
O 0.0526 0.5246 0.1089
O 0.0845 0.8739 0.9323
O 0.0901 0.7403 0.4601
O 0.1261 0.9155 0.5677
O 0.1640 0.0202 0.7977
O 0.1639 0.2041 0.9792
O 0.1762 0.3199 0.6362
O 0.1784 0.5640 0.7772
O 0.1966 0.7148 0.2669
O 0.2041 0.1639 0.4792
O 0.2597 0.9099 0.0399
O 0.2852 0.8034 0.2331
O 0.3199 0.1762 0.1362
O 0.4153 0.4175 0.0603
O 0.4175 0.4153 0.5603
O 0.4351 0.5431 0.1602
O 0.4360 0.8216 0.7228
O 0.4569 0.5649 0.3398
O 0.4754 0.9474 0.3911
O 0.5246 0.0526 0.6089
O 0.5431 0.4351 0.6602
O 0.5640 0.1784 0.2772
O 0.5649 0.4569 0.8398
O 0.5825 0.5847 0.4397
O 0.5847 0.5825 0.9397
O 0.6801 0.8238 0.8638
O 0.7148 0.1966 0.7669
O 0.7403 0.0901 0.9601
O 0.7959 0.8361 0.5208
O 0.8034 0.2852 0.7331
O 0.8216 0.4360 0.2228
O 0.8238 0.6801 0.3638
O 0.8361 0.7959 0.0208
O 0.8360 0.9798 0.2023
O 0.8739 0.0845 0.4323
O 0.9099 0.2597 0.5399
O 0.9155 0.1261 0.0677
O 0.9474 0.4754 0.8911
O 0.9798 0.8360 0.7023

Entry 2
Material: CrPO10
Method: DFT, GGA+U
State: optimized geometry

Calculated values
As for the space-group type: Cc. Its calculated volume is 991.86 Å³ per cell.

Cell: 6.3442 6.3442 25.6075 Å, 91.90 91.90 74.41°
Fractional coordinates of all 48 atoms:
Cr 0.0051 0.9949 0.5000
Cr 0.8909 0.9748 0.7176
Cr 0.9748 0.8909 0.2176
Cr 0.9949 0.0051 0.0000
P 0.1967 0.3695 0.3471
P 0.3695 0.1967 0.8471
P 0.5184 0.6255 0.6129
P 0.6255 0.5184 0.1129
O 0.0236 0.1534 0.2189
O 0.0300 0.6794 0.6956
O 0.0319 0.5973 0.9413
O 0.0553 0.1240 0.5544
O 0.0764 0.7468 0.1679
O 0.0991 0.8433 0.7875
O 0.1240 0.0553 0.0544
O 0.1270 0.2115 0.8577
O 0.1534 0.0236 0.7189
O 0.1566 0.8358 0.2711
O 0.1653 0.7996 0.9616
O 0.2115 0.1270 0.3577
O 0.2433 0.9238 0.4698
O 0.3033 0.3809 0.2944
O 0.3229 0.4601 0.3906
O 0.3809 0.3033 0.7944
O 0.3998 0.8723 0.6148
O 0.4246 0.5033 0.5694
O 0.4601 0.3229 0.8906
O 0.4941 0.5349 0.6670
O 0.5003 0.9553 0.8464
O 0.5033 0.4246 0.0694
O 0.5349 0.4941 0.1670
O 0.5960 0.7638 0.1042
O 0.5973 0.0319 0.4413
O 0.6464 0.9112 0.4034
O 0.6794 0.0300 0.1956
O 0.7468 0.0764 0.6679
O 0.7638 0.5960 0.6042
O 0.7687 0.7893 0.2490
O 0.7760 0.9331 0.0123
O 0.7893 0.7687 0.7490
O 0.7996 0.1653 0.4616
O 0.8358 0.1566 0.7711
O 0.8433 0.0991 0.2875
O 0.8723 0.3998 0.1148
O 0.9112 0.6464 0.9034
O 0.9238 0.2433 0.9698
O 0.9331 0.7760 0.5123
O 0.9553 0.5003 0.3464

The winner here is entry 2, beating the second structure by 0.059 eV/atom.

Entry 1
Material: Ca3Mn2O7
Method: DFT, GGA+U
State: optimized geometry

Calculated values
As for the space-group type: Cmcm. Its calculated volume is 279.75 Å³ per cell.

Cell: 10.0133 10.0133 5.3365 Å, 90.00 90.00 31.52°
Fractional coordinates of all 24 atoms:
Ca 0.0510 0.5766 0.7500
Ca 0.2411 0.7589 0.7500
Ca 0.4234 0.9490 0.7500
Ca 0.5766 0.0510 0.2500
Ca 0.7589 0.2411 0.2500
Ca 0.9490 0.4234 0.2500
Mn 0.1529 0.6494 0.2500
Mn 0.3506 0.8471 0.2500
Mn 0.6494 0.1529 0.7500
Mn 0.8471 0.3506 0.7500
O 0.0072 0.3864 0.7500
O 0.0818 0.0818 0.0000
O 0.0818 0.0818 0.5000
O 0.3319 0.6681 0.2500
O 0.3838 0.3838 0.0000
O 0.3838 0.3838 0.5000
O 0.3864 0.0072 0.2500
O 0.6136 0.9928 0.7500
O 0.6162 0.6162 0.0000
O 0.6162 0.6162 0.5000
O 0.6681 0.3319 0.7500
O 0.9182 0.9182 0.0000
O 0.9182 0.9182 0.5000
O 0.9928 0.6136 0.2500

Entry 2
Material: Ca3Mn2O7
Method: DFT, GGA+U
State: optimized geometry

Calculated values
As for the space-group type: P2_1. Its calculated volume is 322.91 Å³ per cell.

Cell: 5.1453 10.2010 6.6556 Å, 90.00 112.43 90.00°
Fractional coordinates of all 24 atoms:
Ca 0.1379 0.0000 0.3183
Ca 0.1692 0.5225 0.3208
Ca 0.3519 0.2564 0.6797
Ca 0.6481 0.7564 0.3203
Ca 0.8308 0.0225 0.6792
Ca 0.8621 0.5000 0.6817
Mn 0.0023 0.2633 0.0258
Mn 0.4927 0.4896 0.0039
Mn 0.5073 0.9896 0.9961
Mn 0.9977 0.7633 0.9742
O 0.1314 0.7547 0.2833
O 0.1595 0.9257 0.9893
O 0.1665 0.2435 0.3212
O 0.2038 0.6056 0.9940
O 0.3223 0.0317 0.6933
O 0.3473 0.3279 0.0244
O 0.3536 0.4840 0.6904
O 0.6464 0.9840 0.3096
O 0.6527 0.8279 0.9756
O 0.6777 0.5317 0.3067
O 0.7962 0.1056 0.0060
O 0.8335 0.7435 0.6788
O 0.8405 0.4257 0.0107
O 0.8686 0.2547 0.7167

The winner here is entry 1, beating the second structure by 0.174 eV/atom.

Entry 1
Material: Na4MgMo2O8
Method: DFT, GGA+U
State: optimized geometry

Calculated values
As for the space-group type: P1. Its calculated volume is 241.52 Å³ per cell.

Cell: 6.4955 6.6962 7.0332 Å, 112.65 111.31 101.57°
Fractional coordinates of all 15 atoms:
Na 0.0000 0.0000 0.0000
Na 0.0689 0.9110 0.4543
Na 0.5138 0.9090 0.0024
Na 0.9020 0.4500 0.4558
Mg 0.2191 0.4140 0.9220
Mo 0.4692 0.6645 0.4244
Mo 0.7014 0.3968 0.8869
O 0.2953 0.7114 0.5816
O 0.3358 0.3399 0.1816
O 0.3610 0.2863 0.7239
O 0.3609 0.7475 0.1831
O 0.7705 0.2408 0.0552
O 0.7987 0.7213 0.0544
O 0.7994 0.7746 0.5803
O 0.8802 0.3436 0.7245

Entry 2
Material: Na4MgMo2O8
Method: DFT, GGA+U
State: optimized geometry

Calculated values
As for the space-group type: Imm2. Its calculated volume is 200.86 Å³ per cell.

Cell: 6.5734 6.5734 6.5734 Å, 120.02 119.97 90.01°
Fractional coordinates of all 15 atoms:
Na 0.2100 0.0000 0.2100
Na 0.2114 0.4239 0.2125
Na 0.2114 0.9988 0.7875
Na 0.7900 0.0000 0.7900
Mg 0.3568 0.8568 0.5000
Mo 0.6063 0.6063 0.0000
Mo 0.8555 0.3555 0.5000
O 0.4804 0.7315 0.7489
O 0.4807 0.2303 0.7495
O 0.4807 0.7312 0.2505
O 0.5201 0.2437 0.2764
O 0.9673 0.2437 0.2764
O 0.9673 0.2437 0.7236
O 0.9673 0.6910 0.7236
O 0.9826 0.7315 0.2511

The winner here is entry 1, beating the second structure by 0.212 eV/atom.